[1]
This record from the Materials Project database describes crystalline MgCu2S4 at its relaxed geometry. The functional is PBE.

a b c (Å): 3.4916 5.2754 6.9001
angles (deg): 73.28 90.00 90.00
Fractional coordinates of all 7 atoms:
Mg: 0.0000 0.4157 0.0705
Cu: 0.5000 0.5318 0.5214
Cu: 0.0000 0.9565 0.9448
S: 0.5000 0.2752 0.8564
S: 0.0000 0.2224 0.4474
S: 0.0000 0.8332 0.6159
S: 0.5000 0.7234 0.1685

Space-group type: No. 6
Polymorph energy (0 for the lowest one): 32 meV per atom
Total magnetization: 0.000 μB/cell


[2]
This record from the Materials Project database describes crystalline Mg2FeH6 at its relaxed geometry. The functional is PBE.

a b c (Å): 4.5380 4.5380 4.5380
angles (deg): 60.00 60.00 60.00
Fractional coordinates of all 9 atoms:
Mg: 0.2500 0.2500 0.2500
Mg: 0.7500 0.7500 0.7500
Fe: 0.0000 0.0000 0.0000
H: 0.7569 0.2431 0.2431
H: 0.7569 0.2431 0.7569
H: 0.7569 0.7569 0.2431
H: 0.2431 0.7569 0.7569
H: 0.2431 0.7569 0.2431
H: 0.2431 0.2431 0.7569

Space-group type: No. 225


[3]
This record from the Materials Project database describes crystalline Ca2SiO4 at its relaxed geometry. The functional is PBE.

a b c (Å): 5.3930 6.9769 9.9051
angles (deg): 87.90 90.00 90.00
Fractional coordinates of all 28 atoms:
Ca: 0.0024 0.7917 0.1577
Ca: 0.9976 0.2083 0.8423
Ca: 0.0000 0.5000 0.5000
Ca: 0.0000 0.0000 0.5000
Ca: 0.5024 0.2083 0.3423
Ca: 0.4976 0.7917 0.6577
Ca: 0.5000 0.5000 0.0000
Ca: 0.5000 0.0000 0.0000
Si: 0.0004 0.2795 0.1717
Si: 0.9996 0.7205 0.8283
Si: 0.4996 0.2795 0.6717
Si: 0.5004 0.7205 0.3283
O: 0.9520 0.2390 0.3366
O: 0.0480 0.7610 0.6634
O: 0.1185 0.5124 0.8718
O: 0.1495 0.8900 0.9077
O: 0.2976 0.2482 0.1324
O: 0.3505 0.8900 0.4077
O: 0.2024 0.2482 0.6324
O: 0.3815 0.5124 0.3718
O: 0.4520 0.7610 0.1634
O: 0.5480 0.2390 0.8366
O: 0.6185 0.4876 0.6282
O: 0.7976 0.7518 0.3676
O: 0.6495 0.1100 0.5923
O: 0.7024 0.7518 0.8676
O: 0.8505 0.1100 0.0923
O: 0.8815 0.4876 0.1282

Space-group type: No. 14
Polymorph energy (0 for the lowest one): 58 meV per atom
Total magnetization: 0.000 μB/cell


[4]
This record from the Materials Project database describes crystalline NaCu2H3S2O10 at its relaxed geometry. The functional is PBE.

a b c (Å): 5.4761 5.4761 7.6837
angles (deg): 66.05 66.05 70.48
Fractional coordinates of all 18 atoms:
Na: 0.5001 0.5001 0.4999
Cu: 0.5029 0.9958 0.9981
Cu: 0.9958 0.5029 0.9981
H: 0.2927 0.2927 0.2233
H: 0.7081 0.7081 0.7791
H: 0.4827 0.4827 0.0083
S: 0.9100 0.9100 0.2993
S: 0.0904 0.0904 0.7003
O: 0.7921 0.7921 0.5156
O: 0.2081 0.2081 0.4838
O: 0.3421 0.3421 0.0745
O: 0.6567 0.6567 0.9275
O: 0.8264 0.2173 0.2427
O: 0.2173 0.8264 0.2427
O: 0.1741 0.7832 0.7570
O: 0.7832 0.1741 0.7570
O: 0.8082 0.8082 0.1934
O: 0.1921 0.1921 0.8062

Space-group type: No. 8
Total magnetization: 2.000 μB/cell


[5]
This record from the Materials Project database describes crystalline MgHN at its relaxed geometry. The functional is PBE.

a b c (Å): 11.6070 11.6070 3.7150
angles (deg): 90.00 90.00 120.00
Fractional coordinates of all 36 atoms:
Mg: 0.4166 0.1350 0.0000
Mg: 0.8650 0.2816 0.0000
Mg: 0.2816 0.4166 0.0000
Mg: 0.7184 0.5834 0.0000
Mg: 0.1350 0.7184 0.0000
Mg: 0.5834 0.8650 0.0000
Mg: 0.6456 0.0706 0.5000
Mg: 0.4250 0.3544 0.5000
Mg: 0.0706 0.4250 0.5000
Mg: 0.9294 0.5750 0.5000
Mg: 0.5750 0.6456 0.5000
Mg: 0.3544 0.9294 0.5000
H: 0.8099 0.0558 0.0000
H: 0.2460 0.1901 0.0000
H: 0.0558 0.2460 0.0000
H: 0.9442 0.7540 0.0000
H: 0.7540 0.8099 0.0000
H: 0.1901 0.9442 0.0000
H: 0.5737 0.2396 0.5000
H: 0.7604 0.3341 0.5000
H: 0.6659 0.4263 0.5000
H: 0.3341 0.5737 0.5000
H: 0.2396 0.6659 0.5000
H: 0.4263 0.7604 0.5000
N: 0.7316 0.0741 0.0000
N: 0.3424 0.2684 0.0000
N: 0.0741 0.3424 0.0000
N: 0.9259 0.6576 0.0000
N: 0.6576 0.7316 0.0000
N: 0.2684 0.9259 0.0000
N: 0.5075 0.1390 0.5000
N: 0.8610 0.3685 0.5000
N: 0.6315 0.4925 0.5000
N: 0.3685 0.5075 0.5000
N: 0.1390 0.6315 0.5000
N: 0.4925 0.8610 0.5000

Space-group type: No. 175


[6]
This record from the Materials Project database describes crystalline SrZnSe4O12 at its relaxed geometry. The functional is PBE.

a b c (Å): 5.6540 5.6540 7.5194
angles (deg): 90.00 90.00 97.61
Fractional coordinates of all 18 atoms:
Sr: 0.5536 0.4464 0.5000
Zn: 0.9899 0.0101 0.0000
Se: 0.5181 0.9598 0.2442
Se: 0.5181 0.9598 0.7558
Se: 0.0402 0.4819 0.7558
Se: 0.0402 0.4819 0.2442
O: 0.2795 0.3409 0.2426
O: 0.6591 0.7205 0.2426
O: 0.6591 0.7205 0.7574
O: 0.2795 0.3409 0.7574
O: 0.1784 0.8216 0.1832
O: 0.7956 0.2044 0.2949
O: 0.7956 0.2044 0.7051
O: 0.1784 0.8216 0.8168
O: 0.6007 0.0448 0.0000
O: 0.4448 0.9819 0.5000
O: 0.9552 0.3993 0.0000
O: 0.0181 0.5552 0.5000

Space-group type: No. 38
Total magnetization: 0.000 μB/cell


[7]
This record from the Materials Project database describes crystalline Na2In2P4H6O17 at its relaxed geometry. The functional is PBE.

a b c (Å): 9.4186 9.6038 9.3690
angles (deg): 90.01 99.20 60.91
Fractional coordinates of all 62 atoms:
Na: 0.8897 0.1990 0.2510
Na: 0.5202 0.7021 0.6938
Na: 0.4798 0.2979 0.3062
Na: 0.1103 0.8010 0.7490
In: 0.7524 0.7099 0.1329
In: 0.7394 0.2186 0.6316
In: 0.2606 0.7814 0.3684
In: 0.2476 0.2901 0.8671
P: 0.8482 0.9156 0.4048
P: 0.8374 0.4182 0.8891
P: 0.6936 0.5480 0.4208
P: 0.3389 0.9944 0.1386
P: 0.6611 0.0056 0.8614
P: 0.3064 0.4520 0.5792
P: 0.1626 0.5818 0.1109
P: 0.1518 0.0844 0.5952
H: 0.9599 0.7992 0.9900
H: 0.8764 0.7301 0.5584
H: 0.8791 0.4951 0.6313
H: 0.4590 0.0106 0.7076
H: 0.6005 0.3969 0.0904
H: 0.5911 0.2439 0.0425
H: 0.4089 0.7561 0.9575
H: 0.3995 0.6031 0.9096
H: 0.5410 0.9894 0.2924
H: 0.1209 0.5049 0.3687
H: 0.1236 0.2699 0.4416
H: 0.0401 0.2008 0.0100
O: 0.9870 0.9127 0.3366
O: 0.9324 0.7938 0.5494
O: 0.7387 0.8602 0.3098
O: 0.9766 0.4112 0.8158
O: 0.9184 0.2753 0.0145
O: 0.7703 0.8778 0.9903
O: 0.8118 0.5790 0.5488
O: 0.7604 0.5341 0.2791
O: 0.5775 0.9285 0.7496
O: 0.4782 0.8432 0.0895
O: 0.7390 0.5768 0.9530
O: 0.7006 0.3891 0.4574
O: 0.5248 0.6966 0.4194
O: 0.7094 0.4015 0.7751
O: 0.6265 0.2913 0.1268
O: 0.7336 0.0847 0.4440
O: 0.7804 0.0376 0.7914
O: 0.2196 0.9624 0.2086
O: 0.2664 0.9153 0.5560
O: 0.3735 0.7087 0.8732
O: 0.2905 0.5985 0.2249
O: 0.4752 0.3034 0.5806
O: 0.2994 0.6109 0.5426
O: 0.2610 0.4232 0.0470
O: 0.5218 0.1568 0.9105
O: 0.4225 0.0715 0.2504
O: 0.2396 0.4659 0.7209
O: 0.1882 0.4210 0.4512
O: 0.2297 0.1222 0.0097
O: 0.0816 0.7247 0.9855
O: 0.0234 0.5888 0.1842
O: 0.2613 0.1398 0.6902
O: 0.0676 0.2062 0.4506
O: 0.0130 0.0873 0.6634

Space-group type: No. 2
Total magnetization: 0.001 μB/cell


[8]
This record from the Materials Project database describes crystalline Mn23B2C4 at its relaxed geometry. The functional is PBE.

a b c (Å): 7.3808 7.3808 7.3808
angles (deg): 90.24 59.86 120.14
Fractional coordinates of all 29 atoms:
Mn: 0.0025 0.0065 0.6564
Mn: 0.3372 0.3411 0.6564
Mn: 0.3478 0.0000 0.6522
Mn: 0.0019 0.3369 0.9988
Mn: 0.6643 0.9993 0.9988
Mn: 0.6664 0.0000 0.3336
Mn: 0.0025 0.6589 0.0039
Mn: 0.6643 0.6631 0.3351
Mn: 0.6537 0.6593 0.0056
Mn: 0.0019 0.0007 0.3351
Mn: 0.3372 0.9935 0.0039
Mn: 0.3351 0.3407 0.0056
Mn: 0.7615 0.3793 0.8592
Mn: 0.2350 0.3828 0.3822
Mn: 0.2379 0.8553 0.3801
Mn: 0.7646 0.3819 0.3801
Mn: 0.2350 0.6172 0.1479
Mn: 0.7615 0.6207 0.6179
Mn: 0.7646 0.1447 0.6173
Mn: 0.2379 0.6181 0.6173
Mn: 0.0143 0.0000 0.9857
Mn: 0.4964 0.2500 0.2536
Mn: 0.4964 0.7500 0.7536
B: 0.5430 0.2727 0.7297
B: 0.9976 0.7273 0.7297
C: 0.9977 0.2773 0.7250
C: 0.4466 0.7244 0.2779
C: 0.9977 0.2756 0.2779
C: 0.9977 0.7227 0.2796

Space-group type: No. 44
Total magnetization: 14.832 μB/cell


no.,VASP energy (eV for the cell shown),DFT formation energy (eV/atom)
1,-28.61,-0.6105
2,-34.60,-0.4053
3,-201.64,-3.4185
4,-98.91,-1.5740
5,-182.53,-0.7473
6,-88.78,-1.1506
7,-381.62,-2.2006
8,-265.06,-0.1400